Density functional theory data (r²SCAN) for an optimized crystal structure of HoB2Rh3.

Properties
Magnetization: 0.000 μB/atom
DFT formation energy: -0.7871 eV per atom
Volume: 78.2 Å³ per cell

Cell lengths 5.3575, 5.3575, 3.1444 Å; angles 90.00, 90.00, 120.00 degrees
Fractional coordinates of all 6 atoms:
Ho1 0.0000 0.0000 0.0000
B1 0.3333 0.6667 0.0000
B2 0.6667 0.3333 0.0000
Rh1 0.0000 0.5000 0.5000
Rh2 0.5000 0.0000 0.5000
Rh3 0.5000 0.5000 0.5000